(1)
58
Lattice="0.000 7.025 7.025 7.025 0.000 7.025 7.025 7.025 0.000" Properties=species:S:1:pos:R:3 comment="Na6V2B4SO16 (GGA+U, relaxed)" formation_energy_mev_per_atom=-2490.7 space_group="No. 203" energy_corrected_mp2020_ev_per_atom=-7.18 magmom_total_mub_per_cell=4.00 pbc="T T T"
Na 5.269 5.269 1.323
Na 5.269 1.323 5.269
Na 9.215 5.269 5.269
Na 8.782 8.782 4.836
Na 8.782 4.836 8.782
Na 12.728 8.782 8.782
Na 1.323 5.269 5.269
Na 5.269 9.215 5.269
Na 5.269 5.269 9.215
Na 4.836 8.782 8.782
Na 8.782 12.728 8.782
Na 8.782 8.782 12.728
V 7.025 3.513 3.513
V 3.513 7.025 3.513
V 3.513 3.513 7.025
V 7.025 7.025 7.025
B 4.043 4.043 4.043
B 6.495 6.495 4.043
B 6.495 4.043 6.495
B 10.008 7.556 7.556
B 4.043 6.495 6.495
B 7.556 10.008 7.556
B 7.556 7.556 10.008
B 10.008 10.008 10.008
S 1.756 1.756 1.756
S 12.294 12.294 12.294
O 0.890 0.890 0.890
O 2.623 2.623 0.890
O 2.623 0.890 2.623
O 5.102 3.758 3.197
O 7.341 5.436 3.758
O 6.780 3.197 5.436
O 0.890 2.623 2.623
O 5.436 6.780 3.197
O 3.758 3.197 5.102
O 7.341 5.102 6.780
O 8.949 7.271 6.710
O 10.854 8.614 7.271
O 10.293 6.710 8.614
O 3.197 5.102 3.758
O 6.780 7.341 5.102
O 5.436 3.758 7.341
O 8.614 10.293 6.710
O 7.271 6.710 8.949
O 10.854 8.949 10.293
O 3.758 7.341 5.436
O 3.197 5.436 6.780
O 5.102 6.780 7.341
O 6.710 8.949 7.271
O 10.293 10.854 8.949
O 8.614 7.271 10.854
O 13.161 11.428 11.428
O 7.271 10.854 8.614
O 6.710 8.614 10.293
O 8.949 10.293 10.854
O 11.428 13.161 11.428
O 11.428 11.428 13.161
O 13.161 13.161 13.161



(2)
88
Lattice="8.500 -4.882 0.000 8.500 4.882 0.000 -0.010 0.000 14.106" Properties=species:S:1:pos:R:3 comment="Li4V3P8O29 (GGA+U, relaxed)" formation_energy_mev_per_atom=-2572.6 space_group="No. 9" energy_corrected_mp2020_ev_per_atom=-7.61 magmom_total_mub_per_cell=2.00 relative_energy_ev_per_atom=0.011 pbc="T T T"
Li 8.495 4.238 7.053
Li 4.689 1.959 0.047
Li 10.478 2.242 5.394
Li 11.989 2.268 14.092
Li 4.684 -1.959 7.100
Li 10.473 -2.242 12.447
Li 8.500 -4.238 0.000
Li 11.994 -2.268 7.039
V 7.559 2.765 9.800
V 6.446 2.092 2.736
V 6.441 -2.092 9.789
V 11.259 0.669 2.698
V 7.564 -2.765 2.747
V 11.254 -0.669 9.751
P 8.545 4.181 3.998
P 4.721 1.971 11.102
P 5.432 0.709 8.504
P 9.289 2.920 1.416
P 5.437 -0.709 1.451
P 10.477 2.197 8.489
P 4.726 -1.971 4.048
P 12.003 2.197 11.035
P 8.426 0.012 4.414
P 8.421 -0.012 11.467
P 14.102 0.002 1.001
P 14.097 -0.002 8.054
P 10.482 -2.197 1.436
P 9.284 -2.920 8.469
P 8.540 -4.181 11.051
P 12.008 -2.197 3.982
O 5.994 2.828 10.769
O 7.179 3.485 3.731
O 4.940 2.092 3.830
O 8.350 4.055 10.961
O 9.218 3.804 0.240
O 4.692 1.197 7.316
O 4.847 1.266 12.396
O 9.162 3.707 5.279
O 9.507 3.795 2.780
O 4.583 0.955 9.864
O 9.066 2.853 8.513
O 5.643 0.835 1.447
O 6.797 1.415 8.741
O 8.004 2.089 1.680
O 7.163 0.738 3.749
O 8.403 1.442 10.813
O 4.588 -0.955 2.811
O 11.223 2.840 9.773
O 4.697 -1.197 0.263
O 11.222 2.556 7.232
O 11.355 2.524 12.322
O 4.852 -1.266 5.343
O 10.532 1.989 1.426
O 5.638 -0.835 8.500
O 9.686 0.782 3.881
O 8.350 0.007 5.889
O 8.345 -0.007 12.942
O 11.958 2.025 3.958
O 7.158 -0.738 10.803
O 4.935 -2.092 10.883
O 10.362 0.693 8.735
O 6.802 -1.415 1.688
O 8.408 -1.442 3.760
O 12.072 0.667 10.758
O 5.999 -2.828 3.716
O 9.682 -0.782 10.935
O 12.850 0.773 1.542
O 14.067 1.476 8.638
O 10.367 -0.693 1.682
O 7.999 -2.089 8.733
O 7.174 -3.485 10.784
O 12.077 -0.667 3.705
O 10.527 -1.989 8.479
O 9.071 -2.853 1.460
O 14.169 0.021 6.567
O 15.397 0.712 1.609
O 12.845 -0.773 8.595
O 14.164 -0.021 13.620
O 8.355 -4.055 3.907
O 11.953 -2.025 11.011
O 9.157 -3.707 12.333
O 11.227 -2.556 0.179
O 11.360 -2.524 5.269
O 9.213 -3.804 7.293
O 9.502 -3.795 9.833
O 11.228 -2.840 2.720
O 14.072 -1.476 1.585
O 15.392 -0.712 8.662



(3)
28
Lattice="4.973 0.000 0.000 0.000 9.602 0.000 -0.007 0.000 7.284" Properties=species:S:1:pos:R:3 comment="LiCoPO4 (GGA+U, relaxed)" formation_energy_mev_per_atom=-2380.5 space_group="No. 4" energy_corrected_mp2020_ev_per_atom=-7.27 magmom_total_mub_per_cell=0.00 relative_energy_ev_per_atom=0.028 pbc="T T T"
Li 0.511 0.000 1.706
Li 1.959 2.697 5.343
Li 3.006 7.498 1.941
Li 4.454 4.801 5.577
Co 1.031 8.344 4.256
Co 1.455 4.016 0.609
Co 3.510 8.817 6.675
Co 3.934 3.543 3.028
P 0.673 7.128 7.239
P 1.809 5.220 3.608
P 3.156 0.419 3.675
P 4.292 2.327 0.045
O 0.072 7.725 5.898
O 0.162 2.961 6.202
O 0.321 4.837 3.763
O 0.501 5.594 7.140
O 1.992 6.754 3.547
O 2.168 7.512 0.118
O 2.304 9.353 2.568
O 2.409 4.659 2.249
O 2.556 9.460 5.034
O 2.661 4.552 4.715
O 2.797 2.711 7.166
O 2.973 1.953 3.737
O 4.464 0.793 0.144
O 4.644 0.036 3.521
O 4.803 7.762 1.082
O 4.893 2.924 1.386



(4)
44
Lattice="5.971 0.000 0.000 0.000 12.592 0.000 -3.222 0.000 7.449" Properties=species:S:1:pos:R:3 comment="Na2LiVPO6 (GGA+U, relaxed)" formation_energy_mev_per_atom=-2486.3 space_group="No. 14" energy_corrected_mp2020_ev_per_atom=-6.92 magmom_total_mub_per_cell=4.00 pbc="T T T"
Na -0.602 2.062 3.374
Na -2.213 4.234 7.099
Na 1.007 1.164 0.508
Na -0.604 5.133 4.232
Na 3.354 7.460 3.217
Na 1.743 11.429 6.941
Na 4.962 8.358 0.350
Na 3.351 10.530 4.075
Li 0.982 6.597 1.869
Li -0.629 12.292 5.593
Li 3.378 0.301 1.856
Li 1.767 5.996 5.580
V 0.523 9.011 4.499
V 2.134 9.878 0.775
V 0.615 2.715 6.674
V 2.226 3.582 2.950
P -1.297 7.508 6.093
P 0.314 11.380 2.368
P 2.435 1.212 5.080
P 4.046 5.084 1.356
O -2.231 6.343 5.709
O -0.620 12.546 1.985
O -1.380 8.608 4.957
O 0.231 10.281 1.232
O -1.792 8.151 7.429
O -0.181 10.737 3.705
O 1.026 2.982 1.874
O -0.585 3.314 5.599
O 1.053 7.841 3.329
O -0.558 11.047 7.053
O 0.201 7.108 6.140
O 1.812 11.780 2.416
O 0.938 0.812 5.033
O 2.549 5.484 1.309
O 3.307 1.545 0.395
O 1.696 4.751 4.120
O 3.334 9.278 1.850
O 1.723 9.610 5.575
O 2.930 1.855 3.744
O 4.541 4.441 0.019
O 2.518 2.312 6.217
O 4.129 3.985 2.492
O 3.369 0.046 5.464
O 4.980 6.250 1.740



(5)
18
Lattice="2.774 -2.774 0.000 2.774 2.774 0.000 -2.748 0.000 15.767" Properties=species:S:1:pos:R:3 comment="Sr4MgV3O10 (GGA+U, relaxed)" formation_energy_mev_per_atom=-2725.6 space_group="No. 5" energy_corrected_mp2020_ev_per_atom=-7.45 magmom_total_mub_per_cell=4.99 relative_energy_ev_per_atom=0.069 pbc="T T T"
Sr 0.001 -0.002 1.833
Sr 0.003 0.000 5.703
Sr 2.797 0.000 10.064
Sr 2.799 -0.002 13.934
Mg 1.400 1.375 7.883
V 0.021 -0.002 11.864
V 2.774 -0.002 0.000
V 2.778 -0.002 3.903
O 1.386 1.385 0.001
O 1.392 1.385 4.183
O 0.013 -0.009 8.796
O 1.408 1.385 11.584
O 0.024 -0.002 13.851
O 1.414 1.385 15.765
O 2.776 -0.002 1.916
O 1.391 -1.389 4.135
O 2.787 -0.009 6.971
O 1.408 -1.389 11.632



(6)
52
Lattice="6.404 0.000 0.000 0.000 8.305 0.000 -0.117 0.000 11.883" Properties=species:S:1:pos:R:3 comment="Mn2ZnCu2O8 (GGA+U, relaxed)" formation_energy_mev_per_atom=-1224.0 space_group="No. 14" energy_corrected_mp2020_ev_per_atom=-6.41 magmom_total_mub_per_cell=12.00 pbc="T T T"
Mn 0.594 0.324 4.102
Mn 0.535 3.829 10.044
Mn 2.444 4.908 4.378
Mn 2.385 7.550 10.319
Mn 3.901 0.755 1.564
Mn 3.843 3.397 7.505
Mn 5.751 4.476 1.840
Mn 5.693 7.981 7.781
Zn 0.701 1.388 0.595
Zn 0.642 2.765 6.537
Zn 5.644 5.540 5.346
Zn 5.586 6.917 11.288
Cu 1.450 5.609 7.547
Cu 1.509 6.848 1.606
Cu 2.409 0.443 7.507
Cu 2.467 3.710 1.565
Cu 3.819 4.595 10.318
Cu 3.878 7.862 4.376
Cu 4.778 1.457 10.277
Cu 4.836 2.696 4.336
O 0.175 1.922 4.679
O 0.116 2.231 10.620
O 0.501 0.841 7.322
O 0.560 3.311 1.381
O 0.773 0.277 2.402
O 0.714 3.876 8.344
O 1.154 4.809 5.591
O 1.096 7.648 11.533
O 2.027 5.253 2.716
O 1.968 7.205 8.657
O 2.001 4.272 10.806
O 2.060 8.186 4.865
O 2.647 1.821 1.009
O 2.588 2.332 6.951
O 2.999 0.835 10.229
O 3.058 3.317 4.287
O 3.229 4.988 7.596
O 3.287 7.470 1.654
O 3.698 5.973 4.932
O 3.640 6.484 10.874
O 4.226 0.119 7.019
O 4.285 4.033 1.077
O 4.318 1.100 3.226
O 4.260 3.052 9.168
O 5.191 0.657 0.350
O 5.132 3.496 6.292
O 5.572 4.429 3.539
O 5.514 8.028 9.481
O 5.727 4.994 10.503
O 5.785 7.464 4.561
O 6.170 6.074 1.263
O 6.112 6.383 7.204



(7)
24
Lattice="4.899 0.000 0.000 0.000 5.883 0.000 -0.184 0.000 10.218" Properties=species:S:1:pos:R:3 comment="Cr3SbP4O16 (GGA+U, relaxed)" formation_energy_mev_per_atom=-2461.2 space_group="No. 6" energy_corrected_mp2020_ev_per_atom=-8.04 magmom_total_mub_per_cell=9.00 e_ij_max_c_m2=0.23 pbc="T T T"
Cr 0.000 0.000 0.000
Cr 0.408 2.942 5.698
Cr 2.835 0.000 5.287
Sb 2.493 2.942 0.582
P 0.652 0.000 7.061
P 2.046 0.000 1.931
P 3.154 2.942 3.998
P 4.546 2.942 8.773
O 0.969 0.000 8.559
O 1.218 1.176 1.226
O 1.218 4.707 1.226
O 1.159 2.942 8.990
O 1.391 1.193 6.293
O 1.391 4.690 6.293
O 1.638 2.942 4.167
O 1.923 0.000 3.443
O 3.495 0.000 1.447
O 3.575 2.942 2.549
O 3.859 1.730 4.763
O 3.859 4.154 4.763
O 3.866 1.711 9.505
O 3.866 4.172 9.505
O 4.040 0.000 6.838
O 4.190 2.942 7.297



(8)
39
Lattice="7.974 -3.961 0.000 7.974 3.961 0.000 -3.990 0.000 7.783" Properties=species:S:1:pos:R:3 comment="Ba4La4Co8O23 (GGA+U, relaxed)" formation_energy_mev_per_atom=-2297.1 space_group="No. 12" energy_corrected_mp2020_ev_per_atom=-7.38 magmom_total_mub_per_cell=18.00 pbc="T T T"
Ba 3.987 1.980 0.000
Ba 7.974 2.017 0.000
Ba 3.987 -1.980 0.000
Ba 7.974 -2.017 0.000
La 3.989 2.061 3.890
La 7.969 2.061 3.893
La 3.989 -2.061 3.890
La 7.969 -2.061 3.893
Co -1.990 0.000 5.809
Co 2.020 0.000 1.949
Co 2.018 0.000 5.806
Co 5.984 0.000 1.928
Co 5.973 0.000 5.856
Co 9.940 0.000 1.977
Co 9.938 0.000 5.834
Co 13.948 0.000 1.974
O -1.995 0.000 3.892
O 1.982 2.087 5.672
O -0.057 0.000 2.096
O -1.975 0.000 7.743
O -0.068 0.000 5.685
O 5.975 1.872 2.243
O 1.934 0.000 4.002
O 5.983 1.872 5.540
O 4.087 0.000 2.254
O 2.034 0.000 7.602
O 9.976 2.087 2.112
O 4.092 0.000 5.517
O 7.865 0.000 2.266
O 1.982 -2.087 5.672
O 9.924 0.000 0.181
O 7.871 0.000 5.529
O 5.975 -1.872 2.243
O 10.024 0.000 3.781
O 5.983 -1.872 5.540
O 12.026 0.000 2.098
O 13.932 0.000 0.040
O 12.015 0.000 5.687
O 9.976 -2.087 2.112



(9)
12
Lattice="6.087 0.000 0.000 -3.044 5.272 0.000 0.000 0.000 8.272" Properties=species:S:1:pos:R:3 comment="CsTmW2O8 (GGA+U, relaxed)" formation_energy_mev_per_atom=-2655.2 space_group="No. 164" energy_corrected_mp2020_ev_per_atom=-8.56 pbc="T T T"
Cs 0.000 0.000 0.000
Tm 0.000 0.000 4.136
W 0.000 3.514 2.237
W 3.044 1.757 6.036
O 0.000 1.778 2.807
O -1.504 4.383 2.807
O 0.000 3.514 0.462
O 1.539 0.889 5.465
O 1.504 4.383 2.807
O 3.044 1.757 7.811
O 4.548 0.889 5.465
O 3.044 3.494 5.465